(1)
Fe5O2F8 PBE+U optimized geometry; corrected total energy (MP2020 scheme) = -6.823 eV per atom; crystal system = monoclinic; total magnetic moment = 22.00 μB per formula unit; ΔE to the lowest computed polymorph = 0.014 eV/atom; symmetry = No. 6; uncorrected energy = -171.98 eV/cell; energy relative to the elements = -2.319 eV per atom
1.0
4.789 0.000 0.000
0.000 16.148 0.000
-0.059 0.000 4.789
Fe O F
10 4 16
direct
0.000 0.000 0.000
0.028 0.401 0.976
0.028 0.599 0.976
0.037 0.206 0.976
0.037 0.794 0.976
0.499 0.299 0.444
0.499 0.701 0.444
0.537 0.095 0.468
0.537 0.905 0.468
0.568 0.500 0.517
0.207 0.313 0.152
0.207 0.687 0.152
0.728 0.000 0.264
0.845 0.500 0.793
0.222 0.097 0.167
0.222 0.903 0.167
0.236 0.500 0.185
0.304 0.000 0.692
0.329 0.198 0.668
0.329 0.802 0.668
0.330 0.410 0.672
0.330 0.590 0.672
0.724 0.411 0.278
0.724 0.589 0.278
0.729 0.201 0.269
0.729 0.799 0.269
0.811 0.313 0.757
0.811 0.687 0.757
0.838 0.099 0.782
0.838 0.901 0.782



(2)
Fe2OF3 PBE+U optimized geometry; corrected total energy (MP2020 scheme) = -6.906 eV per atom; crystal system = orthorhombic; total magnetic moment = 1.00 μB per formula unit; ΔE to the lowest computed polymorph = 0.020 eV/atom; symmetry = No. 63; uncorrected energy = -69.70 eV/cell; energy relative to the elements = -2.301 eV per atom
1.0
3.506 -3.399 0.000
3.506 3.399 0.000
0.000 0.000 6.170
Fe O F
4 2 6
direct
0.000 0.000 0.000
0.000 0.000 0.500
0.469 0.531 0.750
0.531 0.469 0.250
0.168 0.832 0.750
0.832 0.168 0.250
0.210 0.790 0.250
0.295 0.295 0.000
0.295 0.295 0.500
0.705 0.705 0.000
0.705 0.705 0.500
0.790 0.210 0.750



(3)
Fe5O3F7 PBE+U optimized geometry; corrected total energy (MP2020 scheme) = -6.926 eV per atom; crystal system = triclinic; total magnetic moment = 23.00 μB per formula unit; ΔE to the lowest computed polymorph = 0.010 eV/atom; symmetry = No. 2; uncorrected energy = -174.63 eV/cell; energy relative to the elements = -2.220 eV per atom
1.0
4.789 0.000 0.000
0.126 4.800 0.000
0.042 0.043 15.441
Fe O F
10 6 14
direct
0.000 0.000 0.000
0.019 0.971 0.801
0.037 0.021 0.604
0.468 0.507 0.694
0.479 0.522 0.900
0.500 0.500 0.500
0.521 0.478 0.100
0.532 0.493 0.306
0.963 0.979 0.396
0.981 0.029 0.199
0.181 0.818 0.903
0.199 0.808 0.704
0.323 0.327 0.597
0.677 0.673 0.403
0.801 0.192 0.296
0.819 0.182 0.097
0.199 0.804 0.498
0.200 0.788 0.292
0.205 0.796 0.101
0.297 0.306 0.798
0.298 0.298 0.401
0.300 0.299 0.000
0.307 0.300 0.203
0.693 0.700 0.797
0.700 0.701 0.000
0.702 0.702 0.599
0.703 0.694 0.202
0.795 0.204 0.899
0.800 0.212 0.708
0.801 0.196 0.502



(4)
Fe2OF3 PBE+U optimized geometry; corrected total energy (MP2020 scheme) = -6.872 eV per atom; crystal system = monoclinic; total magnetic moment = 9.00 μB per formula unit; ΔE to the lowest computed polymorph = 0.055 eV/atom; symmetry = No. 12; uncorrected energy = -138.58 eV/cell; energy relative to the elements = -2.267 eV per atom
1.0
4.865 -3.111 0.000
4.865 3.111 0.000
-4.587 0.000 9.695
Fe O F
8 4 12
direct
0.000 0.000 0.000
0.121 0.632 0.250
0.262 0.262 0.480
0.368 0.879 0.750
0.500 0.500 0.000
0.632 0.121 0.250
0.738 0.738 0.520
0.879 0.368 0.750
0.079 0.079 0.840
0.336 0.336 0.334
0.664 0.664 0.666
0.921 0.921 0.160
0.098 0.589 0.896
0.151 0.656 0.604
0.177 0.177 0.645
0.344 0.849 0.396
0.411 0.902 0.104
0.427 0.427 0.148
0.573 0.573 0.852
0.589 0.098 0.896
0.656 0.151 0.604
0.823 0.823 0.355
0.849 0.344 0.396
0.902 0.411 0.104



(5)
Fe6OF11 PBE+U optimized geometry; corrected total energy (MP2020 scheme) = -6.737 eV per atom; crystal system = orthorhombic; total magnetic moment = 25.00 μB per formula unit; ΔE to the lowest computed polymorph = 0.014 eV/atom; symmetry = No. 38; uncorrected energy = -101.96 eV/cell; energy relative to the elements = -2.469 eV per atom
1.0
3.184 0.000 0.000
0.000 3.436 10.187
0.000 -3.436 10.187
Fe O F
6 1 11
direct
0.000 0.000 0.000
0.000 0.324 0.324
0.000 0.663 0.663
0.500 0.170 0.170
0.500 0.495 0.495
0.500 0.831 0.831
0.500 0.269 0.269
0.000 0.040 0.624
0.000 0.294 0.695
0.000 0.363 0.961
0.000 0.624 0.040
0.000 0.695 0.294
0.000 0.961 0.363
0.500 0.067 0.067
0.500 0.390 0.390
0.500 0.595 0.595
0.500 0.732 0.732
0.500 0.931 0.931



(6)
Fe2OF3 PBE+U optimized geometry; corrected total energy (MP2020 scheme) = -6.877 eV per atom; crystal system = monoclinic; total magnetic moment = 1.00 μB per formula unit; ΔE to the lowest computed polymorph = 0.049 eV/atom; symmetry = No. 14; uncorrected energy = -138.72 eV/cell; energy relative to the elements = -2.272 eV per atom
1.0
5.777 0.000 0.000
0.000 4.743 0.000
-1.376 0.000 10.677
Fe O F
8 4 12
direct
0.000 0.000 0.000
0.000 0.500 0.500
0.244 0.024 0.733
0.244 0.476 0.233
0.500 0.000 0.500
0.500 0.500 0.000
0.756 0.524 0.767
0.756 0.976 0.267
0.222 0.193 0.578
0.222 0.307 0.078
0.778 0.693 0.922
0.778 0.807 0.422
0.017 0.706 0.686
0.017 0.794 0.186
0.282 0.683 0.404
0.282 0.817 0.904
0.484 0.210 0.318
0.484 0.290 0.818
0.516 0.710 0.182
0.516 0.790 0.682
0.718 0.183 0.096
0.718 0.317 0.596
0.983 0.206 0.814
0.983 0.294 0.314



(7)
Fe5O8F2 PBE+U optimized geometry; corrected total energy (MP2020 scheme) = -7.293 eV per atom; crystal system = triclinic; total magnetic moment = 22.01 μB per formula unit; ΔE to the lowest computed polymorph = 0.008 eV/atom; symmetry = No. 1; uncorrected energy = -183.38 eV/cell; energy relative to the elements = -1.575 eV per atom
1.0
4.661 0.000 0.000
0.134 7.606 0.000
0.254 3.307 9.205
Fe O F
10 16 4
direct
0.000 0.000 0.000
0.001 0.602 0.201
0.013 0.206 0.397
0.039 0.393 0.803
0.047 0.810 0.598
0.496 0.705 0.908
0.525 0.314 0.100
0.538 0.095 0.711
0.552 0.913 0.314
0.556 0.508 0.517
0.201 0.767 0.033
0.209 0.370 0.225
0.220 0.151 0.831
0.226 0.564 0.628
0.231 0.978 0.422
0.328 0.469 0.924
0.335 0.859 0.730
0.700 0.555 0.074
0.707 0.925 0.887
0.714 0.157 0.273
0.725 0.332 0.688
0.734 0.747 0.485
0.830 0.237 0.982
0.831 0.845 0.185
0.834 0.445 0.382
0.841 0.048 0.579
0.326 0.065 0.127
0.336 0.268 0.526
0.338 0.668 0.330
0.830 0.640 0.782